Entry from the Materials Project database: a geometry-optimized Y6MoO12 structure (PBE with a Hubbard U).

Computed properties:
Its formation enthalpy at 0 K is -3.374 eV/atom. The value obtained for the total energy is -8.510 eV per atom.

Cell and atoms, written as CIF:
```
data_Y6MoO12
_cell_length_a 6.424
_cell_length_b 6.510
_cell_length_c 9.714
_cell_angle_alpha 74.48
_cell_angle_beta 80.29
_cell_angle_gamma 64.47
_space_group_name_H-M_alt 'P -1'
_space_group_IT_number 2
_space_group_name_Hall '-P 1'
loop_
_atom_site_label
_atom_site_type_symbol
_atom_site_fract_x
_atom_site_fract_y
_atom_site_fract_z
Y1 Y 0.065 0.298 0.165
Y2 Y 0.267 0.122 0.767
Y3 Y 0.297 0.800 0.508
Mo1 Mo 0.000 0.500 0.500
O1 O 0.056 0.177 0.527
O2 O 0.065 0.532 0.299
O3 O 0.166 0.291 0.944
O4 O 0.217 0.813 0.747
O5 O 0.323 0.416 0.536
O6 O 0.363 0.999 0.291
```